Here is a relaxed BiBr crystal from the Materials Project. Energies are from PBE-GGA.

Unit cell a=7.6220 b=7.6220 c=21.4938 alpha=108.25 beta=108.25 gamma=32.52
Atoms (fractional coordinates):
Bi 0.0707 0.0707 0.3551
Bi 0.1738 0.1738 0.9945
Bi 0.1788 0.1788 0.5051
Bi 0.2058 0.2058 0.1438
Bi 0.7942 0.7942 0.8562
Bi 0.8212 0.8212 0.4949
Bi 0.8262 0.8262 0.0055
Bi 0.9293 0.9293 0.6449
Br 0.1477 0.1477 0.8179
Br 0.3179 0.3179 0.6817
Br 0.4409 0.4409 0.8870
Br 0.4503 0.4503 0.3818
Br 0.5497 0.5497 0.6182
Br 0.5591 0.5591 0.1130
Br 0.6821 0.6821 0.3183
Br 0.8523 0.8523 0.1821

Values from the calculation:
- Formation energy from the elements: -0.74 eV per atom
- Theoretical density: 6.0 g cm⁻³